(w)
This record from the Materials Project describes a relaxed CaAl2SiO6 crystal. The functional is PBE.

```
data_CaAl2SiO6
_cell_length_a 5.334
_cell_length_b 8.743
_cell_length_c 9.705
_cell_angle_alpha 89.61
_cell_angle_beta 74.62
_cell_angle_gamma 89.32
_space_group_name_H-M_alt 'P 1'
_space_group_IT_number 1
_space_group_name_Hall 'P 1'
loop_
_atom_site_label
_atom_site_type_symbol
_atom_site_fract_x
_atom_site_fract_y
_atom_site_fract_z
_atom_site_occupancy
Ca1 Ca 0.000 0.000 0.000 1
Ca2 Ca 0.004 0.877 0.485 1
Ca3 Ca 0.490 0.378 0.000 1
Ca4 Ca 0.515 0.501 0.481 1
Al1 Al 0.002 0.597 0.001 1
Al2 Al 0.029 0.280 0.489 1
Al3 Al 0.173 0.594 0.285 1
Al4 Al 0.177 0.286 0.783 1
Al5 Al 0.329 0.092 0.211 1
Al6 Al 0.499 0.779 0.998 1
Al7 Al 0.500 0.096 0.498 1
Al8 Al 0.668 0.789 0.285 1
Si1 Si 0.317 0.782 0.710 1
Si2 Si 0.676 0.091 0.786 1
Si3 Si 0.821 0.590 0.710 1
Si4 Si 0.830 0.286 0.208 1
O1 O 0.106 0.676 0.651 1
O2 O 0.121 0.214 0.139 1
O3 O 0.190 0.458 0.870 1
O4 O 0.216 0.416 0.360 1
O5 O 0.228 0.103 0.399 1
O6 O 0.236 0.776 0.884 1
O7 O 0.272 0.612 0.094 1
O8 O 0.285 0.267 0.595 1
O9 O 0.314 0.944 0.630 1
O10 O 0.315 0.924 0.119 1
O11 O 0.360 0.716 0.361 1
O12 O 0.384 0.163 0.853 1
O13 O 0.605 0.696 0.650 1
O14 O 0.635 0.179 0.144 1
O15 O 0.700 0.965 0.364 1
O16 O 0.701 0.921 0.853 1
O17 O 0.732 0.602 0.886 1
O18 O 0.753 0.276 0.386 1
O19 O 0.761 0.108 0.608 1
O20 O 0.772 0.766 0.092 1
O21 O 0.807 0.454 0.136 1
O22 O 0.828 0.429 0.629 1
O23 O 0.861 0.666 0.360 1
O24 O 0.869 0.200 0.850 1
```


(x)
This record from the Materials Project describes a relaxed CaAl2SiO6 crystal. The functional is PBE.

```
data_CaAl2SiO6
_cell_length_a 9.712
_cell_length_b 8.759
_cell_length_c 5.330
_cell_angle_alpha 90.00
_cell_angle_beta 105.11
_cell_angle_gamma 90.00
_space_group_name_H-M_alt 'P 1 21/c 1'
_space_group_IT_number 14
_space_group_name_Hall '-P 2ybc'
loop_
_atom_site_label
_atom_site_type_symbol
_atom_site_fract_x
_atom_site_fract_y
_atom_site_fract_z
_atom_site_occupancy
Ca1 Ca 0.232 0.062 0.485 1
Al1 Al 0.038 0.153 0.832 1
Al2 Al 0.243 0.659 0.483 1
Si1 Si 0.464 0.154 0.185 1
O1 O 0.114 0.226 0.141 1
O2 O 0.117 0.522 0.294 1
O3 O 0.154 0.670 0.762 1
O4 O 0.362 0.666 0.228 1
O5 O 0.385 0.509 0.680 1
O6 O 0.404 0.242 0.900 1
```


It turns out (w) is the most stable, with the second structure 16 meV per atom higher.


(w)
This record from the Materials Project describes a relaxed Ti3V3Ge5 crystal. The functional is PBE.

```
data_Ti3V3Ge5
_cell_length_a 5.231
_cell_length_b 8.303
_cell_length_c 15.627
_cell_angle_alpha 90.00
_cell_angle_beta 90.00
_cell_angle_gamma 90.00
_space_group_name_H-M_alt 'I m m m'
_space_group_IT_number 71
_space_group_name_Hall '-I 2 2'
loop_
_atom_site_label
_atom_site_type_symbol
_atom_site_fract_x
_atom_site_fract_y
_atom_site_fract_z
_atom_site_occupancy
Ti1 Ti 0.000 0.000 0.152 1
Ti2 Ti 0.250 0.250 0.250 1
V1 V 0.000 0.272 0.418 1
V2 V 0.239 0.000 0.500 1
Ge1 Ge 0.000 0.000 0.338 1
Ge2 Ge 0.000 0.311 0.103 1
Ge3 Ge 0.000 0.500 0.301 1
Ge4 Ge 0.244 0.000 0.000 1
```


(x)
This record from the Materials Project describes a relaxed Ti3V3Ge5 crystal. The functional is PBE.

```
data_Ti3V3Ge5
_cell_length_a 18.335
_cell_length_b 5.087
_cell_length_c 7.818
_cell_angle_alpha 90.00
_cell_angle_beta 115.15
_cell_angle_gamma 90.00
_space_group_name_H-M_alt 'C 1 2/m 1'
_space_group_IT_number 12
_space_group_name_Hall '-C 2y'
loop_
_atom_site_label
_atom_site_type_symbol
_atom_site_fract_x
_atom_site_fract_y
_atom_site_fract_z
_atom_site_occupancy
Ti1 Ti 0.064 0.000 0.307 1
Ti2 Ti 0.142 0.000 0.753 1
Ti3 Ti 0.142 0.500 0.531 1
V1 V 0.064 0.500 0.821 1
V2 V 0.192 0.249 0.192 1
Ge1 Ge 0.000 0.254 0.500 1
Ge2 Ge 0.068 0.500 0.159 1
Ge3 Ge 0.069 0.000 0.974 1
Ge4 Ge 0.211 0.500 0.913 1
Ge5 Ge 0.213 0.000 0.512 1
```


It turns out (x) is the most stable, with the second structure 155 meV per atom higher.